{"formula": "HfMg", "functional": "PBE-GGA", "state": "optimized geometry", "lattice_angstrom": [[3.487, 0.000, 0.000], [0.000, 3.487, 0.000], [0.000, 0.000, 3.487]], "species": ["Hf", "Mg"], "fractional_positions": [[0.000, 0.000, 0.000], [0.500, 0.500, 0.500]], "dft_energy_ev_per_atom": -5.56, "spacegroup": "Pm-3m", "delta_e_f_mev_per_atom": 217}

{"formula": "ZnB12H10O24", "functional": "PBE-GGA", "state": "optimized geometry", "lattice_angstrom": [[11.719, 0.000, 0.000], [0.000, 8.702, 0.000], [-1.958, 0.000, 8.561]], "species": ["Zn", "Zn", "B", "B", "B", "B", "B", "B", "B", "B", "B", "B", "B", "B", "B", "B", "B", "B", "B", "B", "B", "B", "B", "B", "B", "B", "H", "H", "H", "H", "H", "H", "H", "H", "H", "H", "H", "H", "H", "H", "H", "H", "H", "H", "H", "H", "O", "O", "O", "O", "O", "O", "O", "O", "O", "O", "O", "O", "O", "O", "O", "O", "O", "O", "O", "O", "O", "O", "O", "O", "O", "O", "O", "O", "O", "O", "O", "O", "O", "O", "O", "O", "O", "O", "O", "O", "O", "O", "O", "O", "O", "O", "O", "O"], "fractional_positions": [[0.000, 0.000, 0.000], [0.000, 0.500, 0.500], [0.023, 0.248, 0.255], [0.023, 0.252, 0.755], [0.083, 0.512, 0.206], [0.083, 0.988, 0.706], [0.147, 0.204, 0.563], [0.147, 0.296, 0.063], [0.280, 0.042, 0.141], [0.280, 0.458, 0.641], [0.349, 0.594, 0.895], [0.349, 0.906, 0.395], [0.469, 0.594, 0.706], [0.469, 0.906, 0.206], [0.531, 0.094, 0.794], [0.531, 0.406, 0.294], [0.651, 0.094, 0.605], [0.651, 0.406, 0.105], [0.720, 0.542, 0.359], [0.720, 0.958, 0.859], [0.853, 0.704, 0.937], [0.853, 0.796, 0.437], [0.917, 0.012, 0.294], [0.917, 0.488, 0.794], [0.977, 0.748, 0.245], [0.977, 0.752, 0.745], [0.184, 0.118, 0.358], [0.184, 0.382, 0.858], [0.210, 0.633, 0.497], [0.210, 0.867, 0.997], [0.266, 0.588, 0.068], [0.266, 0.912, 0.568], [0.325, 0.223, 0.700], [0.325, 0.277, 0.200], [0.414, 0.094, 0.927], [0.414, 0.406, 0.427], [0.586, 0.594, 0.573], [0.586, 0.906, 0.073], [0.675, 0.723, 0.800], [0.675, 0.777, 0.300], [0.734, 0.088, 0.432], [0.734, 0.412, 0.932], [0.790, 0.133, 0.003], [0.790, 0.367, 0.503], [0.816, 0.618, 0.142], [0.816, 0.882, 0.642], [0.011, 0.085, 0.770], [0.011, 0.415, 0.270], [0.054, 0.210, 0.107], [0.054, 0.290, 0.607], [0.079, 0.668, 0.223], [0.079, 0.832, 0.723], [0.130, 0.199, 0.389], [0.130, 0.301, 0.889], [0.159, 0.048, 0.623], [0.159, 0.452, 0.123], [0.184, 0.533, 0.530], [0.184, 0.967, 0.030], [0.265, 0.216, 0.121], [0.265, 0.284, 0.621], [0.274, 0.010, 0.304], [0.274, 0.490, 0.804], [0.330, 0.645, 0.035], [0.330, 0.855, 0.535], [0.392, 0.002, 0.108], [0.392, 0.498, 0.608], [0.425, 0.134, 0.825], [0.425, 0.366, 0.325], [0.445, 0.648, 0.845], [0.445, 0.852, 0.345], [0.555, 0.148, 0.655], [0.555, 0.352, 0.155], [0.575, 0.634, 0.675], [0.575, 0.866, 0.175], [0.608, 0.502, 0.392], [0.608, 0.998, 0.892], [0.670, 0.145, 0.465], [0.670, 0.355, 0.965], [0.726, 0.510, 0.196], [0.726, 0.990, 0.696], [0.735, 0.716, 0.379], [0.735, 0.784, 0.879], [0.816, 0.033, 0.970], [0.816, 0.467, 0.470], [0.841, 0.548, 0.877], [0.841, 0.952, 0.377], [0.870, 0.699, 0.111], [0.870, 0.801, 0.611], [0.921, 0.168, 0.277], [0.921, 0.332, 0.777], [0.946, 0.710, 0.393], [0.946, 0.790, 0.893], [0.989, 0.585, 0.730], [0.989, 0.915, 0.230]], "dft_energy_ev_per_atom": -6.93, "spacegroup": "P2_1/c", "delta_e_f_mev_per_atom": -2303}

{"formula": "LaMgI5", "functional": "PBE-GGA", "state": "optimized geometry", "lattice_angstrom": [[6.068, -5.512, 0.000], [6.068, 5.512, 0.000], [-5.972, 0.000, 10.516]], "species": ["La", "La", "Mg", "Mg", "I", "I", "I", "I", "I", "I", "I", "I", "I", "I"], "fractional_positions": [[0.249, 0.751, 0.500], [0.751, 0.249, 0.000], [0.097, 0.394, 0.750], [0.394, 0.097, 0.250], [0.029, 0.096, 0.537], [0.059, 0.667, 0.661], [0.096, 0.029, 0.037], [0.393, 0.450, 0.963], [0.448, 0.824, 0.340], [0.450, 0.393, 0.463], [0.580, 0.924, 0.748], [0.667, 0.059, 0.161], [0.824, 0.448, 0.840], [0.924, 0.580, 0.248]], "dft_energy_ev_per_atom": -3.29, "relative_energy_ev_per_atom": 0.060, "spacegroup": "Cc", "delta_e_f_mev_per_atom": -1534}

{"formula": "Ho2ZnAg", "functional": "PBE-GGA", "state": "optimized geometry", "lattice_angstrom": [[7.184, 0.000, 0.000], [0.000, 7.184, 0.000], [0.000, 0.000, 7.184]], "species": ["Ho", "Ho", "Ho", "Ho", "Ho", "Ho", "Ho", "Ho", "Zn", "Zn", "Zn", "Zn", "Ag", "Ag", "Ag", "Ag"], "fractional_positions": [[0.250, 0.250, 0.250], [0.250, 0.250, 0.750], [0.250, 0.750, 0.250], [0.250, 0.750, 0.750], [0.750, 0.250, 0.250], [0.750, 0.250, 0.750], [0.750, 0.750, 0.250], [0.750, 0.750, 0.750], [0.000, 0.000, 0.000], [0.000, 0.500, 0.500], [0.500, 0.000, 0.500], [0.500, 0.500, 0.000], [0.000, 0.000, 0.500], [0.000, 0.500, 0.000], [0.500, 0.000, 0.000], [0.500, 0.500, 0.500]], "dft_energy_ev_per_atom": -3.65, "spacegroup": "Fm-3m", "delta_e_f_mev_per_atom": -334}

{"formula": "Nd3GaCo3", "functional": "PBE-GGA", "state": "optimized geometry", "lattice_angstrom": [[2.106, -5.143, 0.000], [2.106, 5.143, 0.000], [0.000, 0.000, 13.169]], "species": ["Nd", "Nd", "Nd", "Nd", "Nd", "Nd", "Ga", "Ga", "Co", "Co", "Co", "Co", "Co", "Co"], "fractional_positions": [[0.003, 0.997, 0.750], [0.294, 0.706, 0.602], [0.294, 0.706, 0.898], [0.706, 0.294, 0.102], [0.706, 0.294, 0.398], [0.997, 0.003, 0.250], [0.000, 0.000, 0.000], [0.000, 0.000, 0.500], [0.299, 0.701, 0.250], [0.416, 0.584, 0.098], [0.416, 0.584, 0.402], [0.584, 0.416, 0.598], [0.584, 0.416, 0.902], [0.701, 0.299, 0.750]], "dft_energy_ev_per_atom": -5.74, "spacegroup": "Cmcm", "delta_e_f_mev_per_atom": -216}

{"formula": "Re3Se7Cl7", "functional": "PBE-GGA", "state": "optimized geometry", "lattice_angstrom": [[12.256, 0.000, 0.000], [0.000, 14.646, 0.000], [0.000, 0.000, 10.492]], "species": ["Re", "Re", "Re", "Re", "Re", "Re", "Re", "Re", "Re", "Re", "Re", "Re", "Se", "Se", "Se", "Se", "Se", "Se", "Se", "Se", "Se", "Se", "Se", "Se", "Se", "Se", "Se", "Se", "Se", "Se", "Se", "Se", "Se", "Se", "Se", "Se", "Se", "Se", "Se", "Se", "Cl", "Cl", "Cl", "Cl", "Cl", "Cl", "Cl", "Cl", "Cl", "Cl", "Cl", "Cl", "Cl", "Cl", "Cl", "Cl", "Cl", "Cl", "Cl", "Cl", "Cl", "Cl", "Cl", "Cl", "Cl", "Cl", "Cl", "Cl"], "fractional_positions": [[0.223, 0.059, 0.118], [0.223, 0.059, 0.382], [0.223, 0.441, 0.618], [0.223, 0.441, 0.882], [0.233, 0.606, 0.750], [0.233, 0.894, 0.250], [0.767, 0.106, 0.750], [0.767, 0.394, 0.250], [0.777, 0.559, 0.118], [0.777, 0.559, 0.382], [0.777, 0.941, 0.618], [0.777, 0.941, 0.882], [0.072, 0.504, 0.750], [0.072, 0.996, 0.250], [0.189, 0.206, 0.250], [0.189, 0.294, 0.750], [0.210, 0.599, 0.503], [0.210, 0.599, 0.997], [0.210, 0.901, 0.003], [0.210, 0.901, 0.497], [0.365, 0.141, 0.250], [0.365, 0.359, 0.750], [0.377, 0.555, 0.594], [0.377, 0.555, 0.906], [0.377, 0.945, 0.094], [0.377, 0.945, 0.406], [0.623, 0.055, 0.594], [0.623, 0.055, 0.906], [0.623, 0.445, 0.094], [0.623, 0.445, 0.406], [0.635, 0.641, 0.250], [0.635, 0.859, 0.750], [0.790, 0.099, 0.503], [0.790, 0.099, 0.997], [0.790, 0.401, 0.003], [0.790, 0.401, 0.497], [0.811, 0.706, 0.250], [0.811, 0.794, 0.750], [0.928, 0.004, 0.750], [0.928, 0.496, 0.250], [0.071, 0.111, 0.511], [0.071, 0.111, 0.989], [0.071, 0.389, 0.011], [0.071, 0.389, 0.489], [0.095, 0.724, 0.750], [0.095, 0.776, 0.250], [0.318, 0.132, 0.557], [0.318, 0.132, 0.943], [0.318, 0.368, 0.057], [0.318, 0.368, 0.443], [0.346, 0.745, 0.750], [0.346, 0.755, 0.250], [0.462, 0.528, 0.250], [0.462, 0.972, 0.750], [0.538, 0.028, 0.250], [0.538, 0.472, 0.750], [0.654, 0.245, 0.750], [0.654, 0.255, 0.250], [0.682, 0.632, 0.557], [0.682, 0.632, 0.943], [0.682, 0.868, 0.057], [0.682, 0.868, 0.443], [0.905, 0.224, 0.750], [0.905, 0.276, 0.250], [0.929, 0.611, 0.511], [0.929, 0.611, 0.989], [0.929, 0.889, 0.011], [0.929, 0.889, 0.489]], "dft_energy_ev_per_atom": -4.86, "spacegroup": "Pbcm", "delta_e_f_mev_per_atom": -718}